# 1
The following is a r²SCAN calculation of a relaxed structure of SrIF, from the Materials Project.

Cell lengths 4.2761, 4.2761, 8.9788 Å; angles 90.00, 90.00, 90.00 degrees
With the nearest neighbours (Å) after each atom.
Space group P4/nmm (No. 129, origin choice 2)
Unique sites:
1 Sr 0.2500 0.2500 0.1478 (multiplicity 2)  4 F 2.52
2 I 0.2500 0.2500 0.6734 (multiplicity 2)  4 Sr 3.42, 4 F 3.63
3 F 0.2500 0.7500 0.0000 (multiplicity 2)  4 Sr 2.52

formation energy from the elements = -300.8 kJ/mol of atoms
energy = -17.395 eV/atom

***

# 2
The following is a r²SCAN calculation of a relaxed structure of TiCu2Te3, from the Materials Project.

Cell lengths 19.9599, 4.0030, 7.1738 Å; angles 90.00, 97.53, 90.00 degrees
With the nearest neighbours (Å) after each atom.
Space group C2/m (No. 12)
Unique sites:
1 Ti 0.1462 0.0000 0.0606 (multiplicity 4)  5 Te 2.64-2.95, 1 Cu 2.79
2 Cu 0.0455 0.5000 0.1525 (multiplicity 4)  4 Te 2.54-2.64, 1 Cu 2.66
3 Cu 0.2148 0.0000 0.4261 (multiplicity 4)  2 Cu 2.59, 4 Te 2.59-2.66, 1 Ti 2.79
4 Te 0.0838 0.0000 0.3634 (multiplicity 4)  3 Cu 2.56-2.59, 1 Ti 2.64
5 Te 0.0860 0.5000 0.8317 (multiplicity 4)  2 Cu 2.54-2.64, 2 Ti 2.76
6 Te 0.2480 0.5000 0.2115 (multiplicity 4)  3 Cu 2.61-2.66

formation energy from the elements = -47.1 kJ/mol of atoms
energy = -18.969 eV/atom

***

# 3
The following is a r²SCAN calculation of a relaxed structure of CuAuO2, from the Materials Project.

Cell lengths 5.9598, 2.7988, 6.0956 Å; angles 90.00, 98.09, 90.00 degrees
With the nearest neighbours (Å) after each atom.
Space group C2/m (No. 12)
Unique sites:
1 Cu 0.0000 0.0000 0.0000 (multiplicity 2)  4 O 1.87
2 Au 0.0000 0.5000 0.5000 (multiplicity 2)  2 O 2.00
3 O 0.0908 0.5000 0.8291 (multiplicity 4)  2 Cu 1.87, 1 Au 2.00

formation energy from the elements = -46.7 kJ/mol of atoms
energy = -18.828 eV/atom

***

# 4
The following is a r²SCAN calculation of a relaxed structure of EuIO, from the Materials Project.

Cell lengths 4.0091, 4.0091, 9.6480 Å; angles 90.00, 90.00, 90.00 degrees
With the nearest neighbours (Å) after each atom.
Space group P4/nmm (No. 129, origin choice 2)
Unique sites:
1 Eu 0.2500 0.2500 0.1194 (multiplicity 2)  4 O 2.31
2 I 0.2500 0.2500 0.6751 (multiplicity 2)  4 Eu 3.46, 4 O 3.72
3 O 0.2500 0.7500 0.0000 (multiplicity 2)  4 Eu 2.31

formation energy from the elements = -233.9 kJ/mol of atoms
energy = -25.442 eV/atom

***

# 5
The following is a r²SCAN calculation of a relaxed structure of LiLu2Tc, from the Materials Project.

Cell lengths 6.8043, 6.8043, 6.8043 Å; angles 90.00, 90.00, 90.00 degrees
With the nearest neighbours (Å) after each atom.
Space group Fm-3m (No. 225)
Unique sites:
1 Li 0.0000 0.0000 0.0000 (multiplicity 4)  8 Lu 2.95
2 Lu 0.2500 0.2500 0.2500 (multiplicity 8)  4 Li 2.95, 4 Tc 2.95
3 Tc 0.0000 0.0000 0.5000 (multiplicity 4)  8 Lu 2.95

formation energy from the elements = -7.9 kJ/mol of atoms
energy = -26.210 eV/atom

***

# 6
The following is a r²SCAN calculation of a relaxed structure of Ti2TcRu, from the Materials Project.

Cell lengths 6.1586, 6.1586, 6.1586 Å; angles 90.00, 90.00, 90.00 degrees
With the nearest neighbours (Å) after each atom.
Space group Fm-3m (No. 225)
Unique sites:
1 Ti 0.2500 0.2500 0.2500 (multiplicity 8)  4 Tc 2.67, 4 Ru 2.67
2 Tc 0.0000 0.0000 0.0000 (multiplicity 4)  8 Ti 2.67
3 Ru 0.0000 0.0000 0.5000 (multiplicity 4)  8 Ti 2.67

formation energy from the elements = -67.1 kJ/mol of atoms
energy = -20.012 eV/atom

***

# 7
The following is a r²SCAN calculation of a relaxed structure of V2Ni3O8, from the Materials Project.

Cell lengths 5.8834, 11.3802, 8.1843 Å; angles 90.00, 90.00, 90.00 degrees
With the nearest neighbours (Å) after each atom.
Space group Cmce (No. 64)
Unique sites:
1 V 0.0000 0.1246 0.1183 (multiplicity 8)  4 O 1.72-1.80
2 Ni 0.0000 0.0000 0.5000 (multiplicity 4)  6 O 2.01-2.05
3 Ni 0.2500 0.1305 0.7500 (multiplicity 8)  6 O 1.99-2.09
4 O 0.0000 0.0002 0.2544 (multiplicity 8)  1 V 1.80, 1 Ni 2.01
5 O 0.0000 0.2473 0.7316 (multiplicity 8)  1 V 1.73
6 O 0.2375 0.1185 0.9970 (multiplicity 16)  1 V 1.72

formation energy from the elements = -188.9 kJ/mol of atoms
energy = -10.566 eV/atom

***

# 8
The following is a r²SCAN calculation of a relaxed structure of Y4C7, from the Materials Project.

Cell lengths 3.7100, 13.7120, 6.4671 Å; angles 90.00, 104.64, 90.00 degrees
With the nearest neighbours (Å) after each atom.
Space group P2_1/c (No. 14)
Unique sites:
1 Y 0.0550 0.1630 0.1607 (multiplicity 4)  7 C 2.44-2.65
2 Y 0.3670 0.0554 0.7397 (multiplicity 4)  6 C 2.49-2.70
3 C 0.0000 0.0000 0.0000 (multiplicity 2)  6 Y 2.45-2.63
4 C 0.2671 0.6047 0.0494 (multiplicity 4)  1 C 1.33
5 C 0.3798 0.6965 0.0470 (multiplicity 4)  2 C 1.32-1.33
6 C 0.4680 0.2161 0.9237 (multiplicity 4)  1 C 1.32

formation energy from the elements = -43.6 kJ/mol of atoms
polymorph energy (0 for the lowest one) = 4 meV/atom
energy = -14.169 eV/atom

***

# 9
The following is a r²SCAN calculation of a relaxed structure of Y2Al9Ir3, from the Materials Project.

Cell lengths 12.9685, 7.5631, 9.4401 Å; angles 90.00, 90.00, 90.00 degrees
With the nearest neighbours (Å) after each atom.
Space group Cmcm (No. 63)
Unique sites:
1 Y 0.1619 0.1670 0.2500 (multiplicity 8)  11 Al 3.04-3.15, 2 Ir 3.40
2 Al 0.0000 0.1300 0.7500 (multiplicity 4)  2 Ir 2.56, 6 Al 2.72-2.75
3 Al 0.0000 0.3341 0.0504 (multiplicity 8)  3 Ir 2.57-2.60, 5 Al 2.68-2.87
4 Al 0.1040 0.4430 0.7500 (multiplicity 8)  2 Ir 2.56, 4 Al 2.70-2.78
5 Al 0.1666 0.1685 0.5732 (multiplicity 16)  3 Ir 2.55-2.60, 4 Al 2.75-2.85
6 Ir 0.0000 0.0000 0.0000 (multiplicity 4)  8 Al 2.56-2.60
7 Ir 0.1720 0.5000 0.0000 (multiplicity 8)  8 Al 2.55-2.60

formation energy from the elements = -92.9 kJ/mol of atoms
energy = -19.412 eV/atom

***

# 10
The following is a r²SCAN calculation of a relaxed structure of Hf2Bi, from the Materials Project.

Cell lengths 10.8952, 3.8513, 7.3459 Å; angles 90.00, 114.18, 90.00 degrees
With the nearest neighbours (Å) after each atom.
Space group C2/m (No. 12)
Unique sites:
1 Hf 0.0180 0.0000 0.2729 (multiplicity 4)  4 Hf 3.03-3.22, 5 Bi 3.09-3.18
2 Hf 0.1503 0.5000 0.0520 (multiplicity 4)  3 Bi 3.03-3.17, 7 Hf 3.03-3.22
3 Bi 0.1706 0.5000 0.6339 (multiplicity 4)  8 Hf 3.03-3.18

formation energy from the elements = -18.7 kJ/mol of atoms
energy = -49.795 eV/atom

***

# 11
The following is a r²SCAN calculation of a relaxed structure of Sn4As3, from the Materials Project.

Cell lengths 4.1132, 4.1132, 36.4918 Å; angles 90.00, 90.00, 120.00 degrees
With the nearest neighbours (Å) after each atom.
Space group R-3m (No. 166, hexagonal axes)
Unique sites:
1 Sn 0.0000 0.0000 0.1352 (multiplicity 6)  3 As 2.76
2 Sn 0.0000 0.0000 0.2891 (multiplicity 6)  6 As 2.87-3.05
3 As 0.0000 0.0000 0.0000 (multiplicity 3)  6 Sn 2.87
4 As 0.0000 0.0000 0.4300 (multiplicity 6)  6 Sn 2.76-3.05

formation energy from the elements = -4.9 kJ/mol of atoms
energy = -20.494 eV/atom

***

# 12
The following is a r²SCAN calculation of a relaxed structure of DyYRh2, from the Materials Project.

Cell lengths 6.8223, 6.8223, 6.8223 Å; angles 90.00, 90.00, 90.00 degrees
With the nearest neighbours (Å) after each atom.
Space group Fm-3m (No. 225)
Unique sites:
1 Dy 0.0000 0.0000 0.0000 (multiplicity 4)  8 Rh 2.95
2 Y 0.0000 0.0000 0.5000 (multiplicity 4)  8 Rh 2.95
3 Rh 0.2500 0.2500 0.2500 (multiplicity 8)  4 Dy 2.95, 4 Y 2.95

formation energy from the elements = -87.8 kJ/mol of atoms
energy = -26.052 eV/atom